Entry 1:
Below is an optimized crystal structure of CuBr, with properties calculated at the GGA-PBE level.

a = 6.932 Å, b = 6.932 Å, c = 6.932 Å
α = 90.00°, β = 90.00°, γ = 90.00°
Space group Pa-3 (No. 205)
Asymmetric unit:
Cu (0.129, 0.129, 0.129) [8 per cell]
Br (0.155, 0.655, 0.845) [8 per cell]

Summary:
The calculated density comes out at 5.72 g/cm³. The value obtained for the total energy is -48.9 eV/cell. As for the total energy after the MP2020 corrections: -53.19 eV for the cell shown. The calculated formation energy is -0.456 eV per atom.

Entry 2:
Below is an optimized crystal structure of CuBr, with properties calculated at the GGA-PBE level.

a = 5.366 Å, b = 5.366 Å, c = 5.366 Å
α = 90.00°, β = 90.00°, γ = 90.00°
Space group Fm-3m (No. 225)
Asymmetric unit:
Cu (0.000, 0.000, 0.000) [4 per cell]
Br (0.000, 0.000, 0.500) [4 per cell]

Summary:
The calculated density comes out at 6.17 g/cm³. The value obtained for the total energy is -23.5 eV/cell. As for the total energy after the MP2020 corrections: -25.64 eV for the cell shown. The calculated formation energy is -0.337 eV per atom.

Entry 3:
Below is an optimized crystal structure of CuBr, with properties calculated at the GGA-PBE level.

a = 4.095 Å, b = 4.095 Å, c = 5.533 Å
α = 90.00°, β = 90.00°, γ = 90.00°
Space group I-4m2 (No. 119)
Asymmetric unit:
Cu (0.000, 0.000, 0.000) [2 per cell]
Br (0.000, 0.500, 0.250) [2 per cell]

Summary:
For the maximum piezoelectric response, the calculation gives 0.3 C/m2. The calculated density comes out at 5.13 g/cm³. The value obtained for the total energy is -12.5 eV/cell. As for the total energy after the MP2020 corrections: -13.54 eV for the cell shown. The calculated formation energy is -0.517 eV per atom.

Entry 4:
Below is an optimized crystal structure of ErCuTe2BrO6, with properties calculated at the GGA-PBE level.

a = 5.426 Å, b = 14.984 Å, c = 9.468 Å
α = 90.00°, β = 98.55°, γ = 90.00°
Space group P2_1/c (No. 14)
Asymmetric unit:
Er (0.247, 0.088, 0.481) [4 per cell]
Cu (0.235, 0.232, 0.196) [4 per cell]
Te (0.248, 0.644, 0.774) [4 per cell]
Te (0.269, 0.596, 0.281) [4 per cell]
Br (0.243, 0.100, 0.954) [4 per cell]
O (0.006, 0.172, 0.612) [4 per cell]
O (0.023, 0.685, 0.205) [4 per cell]
O (0.123, 0.521, 0.129) [4 per cell]
O (0.380, 0.540, 0.875) [4 per cell]
O (0.467, 0.145, 0.310) [4 per cell]
O (0.490, 0.209, 0.609) [4 per cell]

Summary:
The calculated density comes out at 5.78 g/cm³. The value obtained for the total energy is -252.9 eV/cell. As for the total energy after the MP2020 corrections: -269.42 eV for the cell shown. The calculated formation energy is -1.916 eV per atom.

Q: What is the calculated density in the second record?
A: 6.17 g/cm³

Copy entry 1 word for word.
Below is an optimized crystal structure of CuBr, with properties calculated at the GGA-PBE level.

a = 6.932 Å, b = 6.932 Å, c = 6.932 Å
α = 90.00°, β = 90.00°, γ = 90.00°
Space group Pa-3 (No. 205)
Asymmetric unit:
Cu (0.129, 0.129, 0.129) [8 per cell]
Br (0.155, 0.655, 0.845) [8 per cell]

Summary:
The calculated density comes out at 5.72 g/cm³. The value obtained for the total energy is -48.9 eV/cell. As for the total energy after the MP2020 corrections: -53.19 eV for the cell shown. The calculated formation energy is -0.456 eV per atom.

What did the fourth record say?
Below is an optimized crystal structure of ErCuTe2BrO6, with properties calculated at the GGA-PBE level.

a = 5.426 Å, b = 14.984 Å, c = 9.468 Å
α = 90.00°, β = 98.55°, γ = 90.00°
Space group P2_1/c (No. 14)
Asymmetric unit:
Er (0.247, 0.088, 0.481) [4 per cell]
Cu (0.235, 0.232, 0.196) [4 per cell]
Te (0.248, 0.644, 0.774) [4 per cell]
Te (0.269, 0.596, 0.281) [4 per cell]
Br (0.243, 0.100, 0.954) [4 per cell]
O (0.006, 0.172, 0.612) [4 per cell]
O (0.023, 0.685, 0.205) [4 per cell]
O (0.123, 0.521, 0.129) [4 per cell]
O (0.380, 0.540, 0.875) [4 per cell]
O (0.467, 0.145, 0.310) [4 per cell]
O (0.490, 0.209, 0.609) [4 per cell]

Summary:
The calculated density comes out at 5.78 g/cm³. The value obtained for the total energy is -252.9 eV/cell. As for the total energy after the MP2020 corrections: -269.42 eV for the cell shown. The calculated formation energy is -1.916 eV per atom.